Record 1
{
  "formula": "Ca4MnN4",
  "functional": "PBE",
  "state": "relaxed",
  "formation_enthalpy_0k_ev_per_atom": -0.934,
  "e_above_lowest_polymorph_kj_per_mol_fu": 38,
  "magmom_total_mub_per_cell": 6.00,
  "lattice_angstrom": [[5.942, 0.000, 0.000], [2.164, 5.570, 0.000], [1.638, 2.313, 8.254]],
  "species": ["Ca", "Ca", "Ca", "Ca", "Ca", "Ca", "Ca", "Ca", "Mn", "Mn", "N", "N", "N", "N", "N", "N", "N", "N"],
  "fractional_positions": [[0.209, 0.432, 0.332], [0.232, 0.958, 0.115], [0.271, 0.516, 0.928], [0.274, 0.785, 0.522], [0.726, 0.215, 0.478], [0.729, 0.484, 0.072], [0.768, 0.042, 0.885], [0.791, 0.568, 0.668], [0.279, 0.154, 0.746], [0.721, 0.846, 0.254], [0.030, 0.294, 0.888], [0.088, 0.175, 0.590], [0.473, 0.361, 0.697], [0.487, 0.837, 0.848], [0.513, 0.163, 0.152], [0.527, 0.639, 0.303], [0.912, 0.825, 0.410], [0.970, 0.706, 0.112]]
}

---

Record 2
{
  "formula": "Mg3Ge",
  "functional": "PBE",
  "state": "relaxed",
  "formation_enthalpy_0k_ev_per_atom": -0.060,
  "magmom_total_mub_per_cell": 0.00,
  "lattice_angstrom": [[6.953, 0.000, 0.000], [-3.476, 6.021, 0.000], [0.000, 0.000, 4.253]],
  "species": ["Mg", "Mg", "Mg", "Mg", "Mg", "Mg", "Ge", "Ge"],
  "fractional_positions": [[0.085, 0.373, 0.250], [0.287, 0.915, 0.250], [0.373, 0.287, 0.750], [0.627, 0.713, 0.250], [0.713, 0.085, 0.750], [0.915, 0.627, 0.750], [0.333, 0.667, 0.750], [0.667, 0.333, 0.250]]
}

---

Record 3
{
  "formula": "BaSrPrSbO6",
  "functional": "PBE",
  "state": "relaxed",
  "formation_enthalpy_0k_ev_per_atom": -2.954,
  "e_above_lowest_polymorph_kj_per_mol_fu": 36,
  "magmom_total_mub_per_cell": 0.00,
  "lattice_angstrom": [[0.000, 4.329, 4.329], [4.329, 0.000, 4.329], [4.329, 4.329, 0.000]],
  "species": ["Ba", "Sr", "Pr", "Sb", "O", "O", "O", "O", "O", "O"],
  "fractional_positions": [[0.000, 0.000, 0.000], [0.500, 0.500, 0.500], [0.250, 0.250, 0.250], [0.750, 0.750, 0.750], [0.518, 0.518, 0.982], [0.518, 0.982, 0.518], [0.518, 0.982, 0.982], [0.982, 0.518, 0.518], [0.982, 0.518, 0.982], [0.982, 0.982, 0.518]]
}

---

Record 4
{
  "formula": "Na5Zr2F13",
  "functional": "PBE",
  "state": "relaxed",
  "formation_enthalpy_0k_ev_per_atom": -3.453,
  "e_above_lowest_polymorph_kj_per_mol_fu": 235,
  "magmom_total_mub_per_cell": 0.00,
  "lattice_angstrom": [[6.008, -2.893, 0.000], [6.008, 2.893, 0.000], [-0.653, 0.000, 9.195]],
  "species": ["Na", "Na", "Na", "Na", "Na", "Zr", "Zr", "F", "F", "F", "F", "F", "F", "F", "F", "F", "F", "F", "F", "F"],
  "fractional_positions": [[0.000, 0.000, 0.000], [0.193, 0.193, 0.393], [0.339, 0.339, 0.921], [0.661, 0.661, 0.079], [0.807, 0.807, 0.607], [0.081, 0.081, 0.721], [0.919, 0.919, 0.279], [0.000, 0.000, 0.500], [0.050, 0.597, 0.383], [0.066, 0.646, 0.104], [0.162, 0.729, 0.765], [0.271, 0.838, 0.235], [0.354, 0.934, 0.896], [0.403, 0.950, 0.617], [0.597, 0.050, 0.383], [0.646, 0.066, 0.104], [0.729, 0.162, 0.765], [0.838, 0.271, 0.235], [0.934, 0.354, 0.896], [0.950, 0.403, 0.617]]
}

---

Record 5
{
  "formula": "Cs2Mo15S19",
  "functional": "PBE",
  "state": "relaxed",
  "formation_enthalpy_0k_ev_per_atom": -1.018,
  "magmom_total_mub_per_cell": 0.14,
  "lattice_angstrom": [[4.771, 2.755, 19.019], [-4.771, 2.755, 19.019], [0.000, -5.509, 19.019]],
  "species": ["Cs", "Cs", "Cs", "Cs", "Mo", "Mo", "Mo", "Mo", "Mo", "Mo", "Mo", "Mo", "Mo", "Mo", "Mo", "Mo", "Mo", "Mo", "Mo", "Mo", "Mo", "Mo", "Mo", "Mo", "Mo", "Mo", "Mo", "Mo", "Mo", "Mo", "Mo", "Mo", "Mo", "Mo", "S", "S", "S", "S", "S", "S", "S", "S", "S", "S", "S", "S", "S", "S", "S", "S", "S", "S", "S", "S", "S", "S", "S", "S", "S", "S", "S", "S", "S", "S", "S", "S", "S", "S", "S", "S", "S", "S"],
  "fractional_positions": [[0.113, 0.113, 0.113], [0.387, 0.387, 0.387], [0.613, 0.613, 0.613], [0.887, 0.887, 0.887], [0.003, 0.866, 0.193], [0.041, 0.370, 0.217], [0.086, 0.250, 0.414], [0.130, 0.459, 0.283], [0.134, 0.807, 0.997], [0.193, 0.003, 0.866], [0.217, 0.041, 0.370], [0.250, 0.414, 0.086], [0.283, 0.130, 0.459], [0.307, 0.634, 0.497], [0.366, 0.503, 0.693], [0.370, 0.217, 0.041], [0.414, 0.086, 0.250], [0.459, 0.283, 0.130], [0.497, 0.307, 0.634], [0.503, 0.693, 0.366], [0.541, 0.717, 0.870], [0.586, 0.914, 0.750], [0.630, 0.783, 0.959], [0.634, 0.497, 0.307], [0.693, 0.366, 0.503], [0.717, 0.870, 0.541], [0.750, 0.586, 0.914], [0.783, 0.959, 0.630], [0.807, 0.997, 0.134], [0.866, 0.193, 0.003], [0.870, 0.541, 0.717], [0.914, 0.750, 0.586], [0.959, 0.630, 0.783], [0.997, 0.134, 0.807], [0.014, 0.699, 0.428], [0.049, 0.296, 0.705], [0.049, 0.451, 0.750], [0.053, 0.053, 0.053], [0.072, 0.801, 0.486], [0.177, 0.177, 0.177], [0.199, 0.514, 0.928], [0.204, 0.452, 0.795], [0.205, 0.796, 0.549], [0.250, 0.951, 0.549], [0.295, 0.951, 0.704], [0.296, 0.705, 0.049], [0.301, 0.572, 0.986], [0.323, 0.323, 0.323], [0.428, 0.014, 0.699], [0.447, 0.447, 0.447], [0.451, 0.750, 0.049], [0.451, 0.795, 0.204], [0.486, 0.072, 0.801], [0.514, 0.928, 0.199], [0.549, 0.205, 0.796], [0.549, 0.250, 0.951], [0.553, 0.553, 0.553], [0.572, 0.986, 0.301], [0.677, 0.677, 0.677], [0.699, 0.428, 0.014], [0.704, 0.295, 0.951], [0.705, 0.049, 0.296], [0.750, 0.049, 0.451], [0.795, 0.204, 0.451], [0.796, 0.549, 0.205], [0.801, 0.486, 0.072], [0.823, 0.823, 0.823], [0.928, 0.199, 0.514], [0.947, 0.947, 0.947], [0.951, 0.549, 0.250], [0.951, 0.704, 0.295], [0.986, 0.301, 0.572]]
}

---

Record 6
{
  "formula": "CaTiSiO5",
  "functional": "PBE",
  "state": "relaxed",
  "formation_enthalpy_0k_ev_per_atom": -3.476,
  "e_above_lowest_polymorph_kj_per_mol_fu": 0,
  "lattice_angstrom": [[3.332, -4.387, 0.000], [3.332, 4.387, 0.000], [-2.908, 0.000, 6.511]],
  "species": ["Ca", "Ca", "Ti", "Ti", "Si", "Si", "O", "O", "O", "O", "O", "O", "O", "O", "O", "O"],
  "fractional_positions": [[0.172, 0.828, 0.750], [0.828, 0.172, 0.250], [0.500, 0.500, 0.000], [0.500, 0.500, 0.500], [0.180, 0.820, 0.250], [0.820, 0.180, 0.750], [0.123, 0.249, 0.908], [0.187, 0.614, 0.384], [0.249, 0.123, 0.408], [0.386, 0.813, 0.116], [0.431, 0.569, 0.750], [0.569, 0.431, 0.250], [0.614, 0.187, 0.884], [0.751, 0.877, 0.592], [0.813, 0.386, 0.616], [0.877, 0.751, 0.092]]
}